The following is a PBE calculation of crystalline BaIn2Ir at its relaxed geometry, from the Materials Project database.

```
data_BaIn2Ir
_chemical_formula_sum 'Ba4 In8 Ir4'
_cell_length_a 4.4653
_cell_length_b 11.8239
_cell_length_c 8.1889
_cell_angle_alpha 90.00
_cell_angle_beta 90.00
_cell_angle_gamma 90.00
_symmetry_space_group_name_H-M 'C m c m'
_symmetry_Int_Tables_number 63
_symmetry_space_group_name_Hall '-C 2c 2'
loop_
_atom_site_label
_atom_site_type_symbol
_atom_site_fract_x
_atom_site_fract_y
_atom_site_fract_z
Ba1 Ba 0.0000 0.0539 0.2500
In1 In 0.0000 0.3351 0.0555
Ir1 Ir 0.0000 0.2203 0.7500
```

=====

The following is a PBE calculation of crystalline Na2Mg3ZrS6O24 at its relaxed geometry, from the Materials Project database.

```
data_Na2Mg3ZrS6O24
_chemical_formula_sum 'Na6 Mg9 Zr3 S18 O72'
_cell_length_a 8.7138
_cell_length_b 8.7138
_cell_length_c 23.0176
_cell_angle_alpha 90.00
_cell_angle_beta 90.00
_cell_angle_gamma 120.00
_symmetry_space_group_name_H-M 'P 3'
_symmetry_Int_Tables_number 143
_symmetry_space_group_name_Hall 'P 3'
loop_
_atom_site_label
_atom_site_type_symbol
_atom_site_fract_x
_atom_site_fract_y
_atom_site_fract_z
Na1 Na 0.0000 0.0000 0.0000
Na2 Na 0.0000 0.0000 0.4781
Na3 Na 0.3333 0.6667 0.1588
Na4 Na 0.3333 0.6667 0.6475
Na5 Na 0.6667 0.3333 0.3312
Na6 Na 0.6667 0.3333 0.8282
Mg1 Mg 0.0000 0.0000 0.1392
Mg2 Mg 0.0000 0.0000 0.3417
Mg3 Mg 0.0000 0.0000 0.6327
Mg4 Mg 0.3333 0.6667 0.0087
Mg5 Mg 0.3333 0.6667 0.3082
Mg6 Mg 0.3333 0.6667 0.4975
Mg7 Mg 0.3333 0.6667 0.8050
Mg8 Mg 0.6667 0.3333 0.4649
Mg9 Mg 0.6667 0.3333 0.9734
Zr1 Zr 0.0000 0.0000 0.8435
Zr2 Zr 0.6667 0.3333 0.1755
Zr3 Zr 0.6667 0.3333 0.6692
S1 S 0.0061 0.2959 0.7366
S2 S 0.0092 0.7165 0.2381
S3 S 0.0393 0.3715 0.4045
S4 S 0.0410 0.6571 0.9049
S5 S 0.3681 0.3339 0.5683
S6 S 0.3692 0.0374 0.0689
O1 O 0.0203 0.1929 0.3990
O2 O 0.0212 0.8228 0.8982
O3 O 0.0230 0.2086 0.6852
O4 O 0.0268 0.8152 0.1843
O5 O 0.1219 0.6400 0.8511
O6 O 0.1229 0.4794 0.3523
O7 O 0.1380 0.4934 0.0651
O8 O 0.1404 0.6452 0.5661
O9 O 0.1443 0.4525 0.4578
O10 O 0.1490 0.6889 0.9564
O11 O 0.1618 0.4726 0.7443
O12 O 0.1623 0.6891 0.2437
O13 O 0.1932 0.0208 0.0765
O14 O 0.1949 0.1745 0.5779
O15 O 0.2064 0.0206 0.7901
O16 O 0.2074 0.1843 0.2897
O17 O 0.4538 0.1457 0.0170
O18 O 0.4583 0.3107 0.5190
O19 O 0.4688 0.3120 0.2308
O20 O 0.4697 0.1585 0.7335
O21 O 0.4804 0.3566 0.6240
O22 O 0.4810 0.1266 0.1217
O23 O 0.4930 0.1394 0.4100
O24 O 0.4960 0.3563 0.9102
```

=====

The following is a PBE calculation of crystalline KPrGdGeO6 at its relaxed geometry, from the Materials Project database.

```
data_KPrGdGeO6
_chemical_formula_sum 'K4 Pr4 Gd4 Ge4 O24'
_cell_length_a 8.2161
_cell_length_b 8.2161
_cell_length_c 8.2161
_cell_angle_alpha 90.00
_cell_angle_beta 90.00
_cell_angle_gamma 90.00
_symmetry_space_group_name_H-M 'F -4 3 m'
_symmetry_Int_Tables_number 216
_symmetry_space_group_name_Hall 'F -4 2 3'
loop_
_atom_site_label
_atom_site_type_symbol
_atom_site_fract_x
_atom_site_fract_y
_atom_site_fract_z
K1 K 0.0000 0.0000 0.0000
Pr1 Pr 0.0000 0.0000 0.5000
Gd1 Gd 0.2500 0.2500 0.2500
Ge1 Ge 0.2500 0.2500 0.7500
O1 O 0.0195 0.2500 0.7500
```

=====

The following is a PBE calculation of crystalline LaNb2CuBrO7 at its relaxed geometry, from the Materials Project database.

```
data_LaNb2CuBrO7
_chemical_formula_sum 'La1 Nb2 Cu1 Br1 O7'
_cell_length_a 3.9467
_cell_length_b 3.9467
_cell_length_c 11.8150
_cell_angle_alpha 90.00
_cell_angle_beta 90.00
_cell_angle_gamma 90.00
_symmetry_space_group_name_H-M 'P 4/m m m'
_symmetry_Int_Tables_number 123
_symmetry_space_group_name_Hall '-P 4 2'
loop_
_atom_site_label
_atom_site_type_symbol
_atom_site_fract_x
_atom_site_fract_y
_atom_site_fract_z
La1 La 0.0000 0.0000 0.0000
Nb1 Nb 0.5000 0.5000 0.1913
Cu1 Cu 0.5000 0.5000 0.5000
Br1 Br 0.0000 0.0000 0.5000
O1 O 0.0000 0.5000 0.1552
O2 O 0.5000 0.5000 0.0000
O3 O 0.5000 0.5000 0.3440
```

=====

The following is a PBE calculation of crystalline BaSnHgS4 at its relaxed geometry, from the Materials Project database.

```
data_BaSnHgS4
_chemical_formula_sum 'Ba4 Sn4 Hg4 S16'
_cell_length_a 11.0907
_cell_length_b 11.0434
_cell_length_c 6.7425
_cell_angle_alpha 90.00
_cell_angle_beta 90.00
_cell_angle_gamma 90.00
_symmetry_space_group_name_H-M 'A m a 2'
_symmetry_Int_Tables_number 40
_symmetry_space_group_name_Hall 'A 2 -2a'
loop_
_atom_site_label
_atom_site_type_symbol
_atom_site_fract_x
_atom_site_fract_y
_atom_site_fract_z
Ba1 Ba 0.0000 0.0000 0.0000
Sn1 Sn 0.2500 0.2119 0.5140
Hg1 Hg 0.2500 0.3286 0.0523
S1 S 0.0817 0.2348 0.2849
S2 S 0.2500 0.0522 0.7512
S3 S 0.2500 0.4017 0.7061
```

=====

The following is a PBE calculation of crystalline CoGe at its relaxed geometry, from the Materials Project database.

```
data_CoGe
_chemical_formula_sum 'Co8 Ge8'
_cell_length_a 11.7253
_cell_length_b 3.7576
_cell_length_c 4.9277
_cell_angle_alpha 90.00
_cell_angle_beta 99.64
_cell_angle_gamma 90.00
_symmetry_space_group_name_H-M 'C 1 2/m 1'
_symmetry_Int_Tables_number 12
_symmetry_space_group_name_Hall '-C 2y'
loop_
_atom_site_label
_atom_site_type_symbol
_atom_site_fract_x
_atom_site_fract_y
_atom_site_fract_z
Co1 Co 0.0000 0.0000 0.0000
Co2 Co 0.0000 0.0000 0.5000
Co3 Co 0.1970 0.0000 0.3260
Ge1 Ge 0.0701 0.5000 0.2823
Ge2 Ge 0.1832 0.0000 0.8190
```

=====

The following is a PBE calculation of crystalline Li3Ti3P4O16 at its relaxed geometry, from the Materials Project database.

```
data_Li3Ti3P4O16
_chemical_formula_sum 'Li6 Ti6 P8 O32'
_cell_length_a 7.7258
_cell_length_b 8.0805
_cell_length_c 10.2567
_cell_angle_alpha 90.00
_cell_angle_beta 94.83
_cell_angle_gamma 90.00
_symmetry_space_group_name_H-M 'P 1 21 1'
_symmetry_Int_Tables_number 4
_symmetry_space_group_name_Hall 'P 2yb'
loop_
_atom_site_label
_atom_site_type_symbol
_atom_site_fract_x
_atom_site_fract_y
_atom_site_fract_z
Li1 Li 0.1386 0.0000 0.0786
Li2 Li 0.1499 0.0106 0.5778
Li3 Li 0.3424 0.2726 0.6686
Ti1 Ti 0.2378 0.6391 0.6230
Ti2 Ti 0.2414 0.6469 0.1296
Ti3 Ti 0.3509 0.2912 0.1750
P1 P 0.0471 0.8325 0.3572
P2 P 0.0522 0.8386 0.8549
P3 P 0.4534 0.4446 0.8887
P4 P 0.4536 0.4547 0.4021
O1 O 0.0072 0.5112 0.6040
O2 O 0.0100 0.5129 0.1044
O3 O 0.1040 0.2147 0.6528
O4 O 0.1088 0.2192 0.1513
O5 O 0.1311 0.8330 0.7220
O6 O 0.1353 0.8349 0.2245
O7 O 0.1874 0.7807 0.9646
O8 O 0.1903 0.7785 0.4676
O9 O 0.3086 0.4997 0.2879
O10 O 0.3089 0.5033 0.7866
O11 O 0.3664 0.4494 0.5311
O12 O 0.3758 0.4455 0.0273
O13 O 0.3933 0.0678 0.1006
O14 O 0.3938 0.0687 0.5952
O15 O 0.4862 0.7704 0.1476
O16 O 0.4971 0.7754 0.6518
```

=====

The following is a PBE calculation of crystalline Cd2PdRh at its relaxed geometry, from the Materials Project database.

```
data_Cd2PdRh
_chemical_formula_sum 'Cd8 Pd4 Rh4'
_cell_length_a 6.5167
_cell_length_b 6.5167
_cell_length_c 6.5167
_cell_angle_alpha 90.00
_cell_angle_beta 90.00
_cell_angle_gamma 90.00
_symmetry_space_group_name_H-M 'F m -3 m'
_symmetry_Int_Tables_number 225
_symmetry_space_group_name_Hall '-F 4 2 3'
loop_
_atom_site_label
_atom_site_type_symbol
_atom_site_fract_x
_atom_site_fract_y
_atom_site_fract_z
Cd1 Cd 0.2500 0.2500 0.2500
Pd1 Pd 0.0000 0.0000 0.0000
Rh1 Rh 0.0000 0.0000 0.5000
```

=====

| no. | calculated density (g cm⁻³) | calculated formation energy (eV/atom) |
| --- | --- | --- |
| 1 | 8.59 | -0.368 |
| 2 | 2.59 | -2.383 |
| 3 | 6.06 | -2.679 |
| 4 | 5.23 | -2.728 |
| 5 | 4.70 | -1.143 |
| 6 | 8.17 | -0.217 |
| 7 | 2.83 | -2.883 |
| 8 | 10.42 | -0.257 |